1.
VASP calculation (r2SCAN) on crystalline Ca2Mg at its relaxed geometry.

Lattice parameters (Å, degrees): 14.0475 5.5309 5.4785 90.00 90.00 90.00
Closest atoms and distances in Å follow each position.
Space group Cmcm (No. 63)
Unique sites:
Ca 0.1479 0.2469 0.2500  4 Mg 3.43-3.48
Mg 0.0000 0.2588 0.7500  8 Ca 3.43-3.48, 2 Mg 3.82

volume	425.7	Å³ per cell
crystal system	orthorhombic

2.
VASP calculation (r2SCAN) on crystalline Lu2MgRu at its relaxed geometry.

Lattice parameters (Å, degrees): 6.9151 6.9151 6.9151 90.00 90.00 90.00
Closest atoms and distances in Å follow each position.
Space group Fm-3m (No. 225)
Unique sites:
Lu 0.2500 0.2500 0.2500  4 Ru 2.99, 4 Mg 2.99
Mg 0.0000 0.0000 0.0000  8 Lu 2.99
Ru 0.0000 0.0000 0.5000  8 Lu 2.99

volume	330.7	Å³ per cell
crystal system	cubic

3.
VASP calculation (r2SCAN) on crystalline Pd3Pb2S2 at its relaxed geometry.

Lattice parameters (Å, degrees): 6.0474 6.0474 13.8669 90.00 90.00 120.00
Closest atoms and distances in Å follow each position.
Space group R-3m (No. 166, hexagonal axes)
Unique sites:
Pd 0.0000 0.5000 0.0000  2 S 2.34
Pb 0.0000 0.0000 0.0000  6 Pd 3.02, 2 S 3.06
Pb 0.0000 0.0000 0.5000  6 Pd 2.90
S 0.0000 0.0000 0.2204  3 Pd 2.34

volume	439.2	Å³ per cell
crystal system	trigonal

4.
VASP calculation (r2SCAN) on crystalline LaSi2Os2 at its relaxed geometry.

Lattice parameters (Å, degrees): 4.2328 4.2328 10.0211 90.00 90.00 90.00
Closest atoms and distances in Å follow each position.
Space group I4/mmm (No. 139)
Unique sites:
La 0.0000 0.0000 0.0000  8 Os 3.28, 10 Si 3.30-3.62
Si 0.0000 0.0000 0.3616  4 Os 2.39
Os 0.0000 0.5000 0.2500  4 Si 2.39

volume	179.5	Å³ per cell
crystal system	tetragonal

5.
VASP calculation (r2SCAN) on crystalline Li2GdIn at its relaxed geometry.

Lattice parameters (Å, degrees): 4.8665 4.8665 6.8749 90.00 90.00 90.00
Closest atoms and distances in Å follow each position.
Space group I4/mmm (No. 139)
Unique sites:
Li 0.0000 0.5000 0.2500  4 Gd 2.98, 4 In 2.98
Gd 0.0000 0.0000 0.0000  8 Li 2.98
In 0.0000 0.0000 0.5000  8 Li 2.98

volume	162.8	Å³ per cell
crystal system	tetragonal

6.
VASP calculation (r2SCAN) on crystalline EuAlSi at its relaxed geometry.

Lattice parameters (Å, degrees): 4.2153 4.2153 4.4867 90.00 90.00 120.00
Closest atoms and distances in Å follow each position.
Space group P-6m2 (No. 187)
Unique sites:
Eu 0.0000 0.0000 0.0000  6 Al 3.31, 6 Si 3.31
Al 0.6667 0.3333 0.5000  3 Si 2.43
Si 0.3333 0.6667 0.5000  3 Al 2.43

volume	69.0	Å³ per cell
crystal system	hexagonal

7.
VASP calculation (r2SCAN) on crystalline USe2O7 at its relaxed geometry.

Lattice parameters (Å, degrees): 6.7021 9.4305 11.6148 109.93 92.64 93.83
Closest atoms and distances in Å follow each position.
Space group P-1 (No. 2)
Unique sites:
U 0.0765 0.4520 0.2606  2 O 1.79-1.80
U 0.3698 0.8461 0.2604  2 O 1.79
Se 0.0110 0.1350 0.3816  3 O 1.67-1.81
Se 0.1550 0.2511 0.8480  3 O 1.68-1.83
Se 0.4294 0.5425 0.8478  3 O 1.68-1.82
Se 0.4641 0.2651 0.3829  3 O 1.67-1.81
O 0.0269 0.3453 0.0998  1 U 1.80
O 0.0430 0.6832 0.2100  1 Se 1.71
O 0.0647 0.7492 0.6894  1 Se 1.67
O 0.0977 0.9942 0.2650  1 Se 1.70
O 0.1326 0.5646 0.4191  1 U 1.79
O 0.2468 0.2330 0.4611  2 Se 1.81
O 0.2613 0.5097 0.7283  1 Se 1.68
O 0.2882 0.1836 0.7250  1 Se 1.68
O 0.3039 0.4307 0.9275  2 Se 1.82-1.83
O 0.3441 0.8702 0.4187  1 U 1.79
O 0.3496 0.3093 0.2676  1 Se 1.70
O 0.3915 0.8142 0.1004  1 U 1.79
O 0.3916 0.5750 0.2172  1 Se 1.71
O 0.4763 0.9104 0.6895  1 Se 1.67

volume	686.8	Å³ per cell
crystal system	triclinic

8.
VASP calculation (r2SCAN) on crystalline KIn6Au4 at its relaxed geometry.

Lattice parameters (Å, degrees): 8.1705 8.1705 4.4422 90.00 90.00 120.00
Closest atoms and distances in Å follow each position.
Space group P-6m2 (No. 187)
Unique sites:
K 0.0000 0.0000 0.0000  6 In 3.55, 6 Au 3.64
In 0.1958 0.3916 0.5000  4 Au 2.83-2.95
In 0.5342 0.0683 0.0000  5 Au 2.84-2.89
Au 0.3333 0.6667 0.0000  9 In 2.84-2.95
Au 0.4079 0.2040 0.5000  6 In 2.83-2.89

volume	256.8	Å³ per cell
crystal system	hexagonal

9.
VASP calculation (r2SCAN) on crystalline La3IrI3 at its relaxed geometry.

Lattice parameters (Å, degrees): 17.9592 12.6907 12.6982 90.00 134.98 90.00
Closest atoms and distances in Å follow each position.
Space group C2 (No. 5)
Unique sites:
La 0.1029 0.0000 0.9999  2 Ir 2.90-2.91
La 0.1030 0.2497 0.7062  2 Ir 2.90-2.91
La 0.1250 0.0225 0.4773  2 Ir 2.89-2.91
La 0.1250 0.2272 0.2723  2 Ir 2.90
La 0.1475 0.4765 0.5224  2 Ir 2.90-2.91
La 0.1483 0.7733 0.2731  2 Ir 2.89-2.90
Ir 0.1245 0.2495 0.4995  6 La 2.89-2.91
Ir 0.1248 0.9999 0.2494  6 La 2.89-2.91
I 0.1153 0.4999 0.2306  4 La 3.33-3.50
I 0.1154 0.7496 0.5000  4 La 3.34-3.49
I 0.1250 0.5096 0.7599  4 La 3.33-3.49
I 0.1248 0.7401 0.9901  4 La 3.34-3.50
I 0.1349 0.2597 0.0100  4 La 3.33-3.48
I 0.1348 0.9898 0.7597  4 La 3.33-3.49

volume	2047.1	Å³ per cell
crystal system	monoclinic

10.
VASP calculation (r2SCAN) on crystalline Br at its relaxed geometry.

Lattice parameters (Å, degrees): 7.1395 4.2552 8.7454 90.00 90.00 90.00
Closest atoms and distances in Å follow each position.
Space group Cmce (No. 64)
Unique sites:
Br 0.0000 0.1401 0.1159  1 Br 2.35

energy above the most stable polymorph in this dataset	0	meV/atom
volume	265.7	Å³ per cell
crystal system	orthorhombic

11.
VASP calculation (r2SCAN) on crystalline Ho2TlCd at its relaxed geometry.

Lattice parameters (Å, degrees): 7.4488 7.4488 7.4488 90.00 90.00 90.00
Closest atoms and distances in Å follow each position.
Space group Fm-3m (No. 225)
Unique sites:
Ho 0.2500 0.2500 0.2500  4 Cd 3.23, 4 Tl 3.23
Tl 0.0000 0.0000 0.0000  8 Ho 3.23
Cd 0.0000 0.0000 0.5000  8 Ho 3.23

volume	413.3	Å³ per cell
crystal system	cubic

12.
VASP calculation (r2SCAN) on crystalline NaGaBr4 at its relaxed geometry.

Lattice parameters (Å, degrees): 13.8194 7.5232 7.5435 90.00 90.00 90.00
Closest atoms and distances in Å follow each position.
Space group Pnma (No. 62)
Unique sites:
Na 0.1540 0.2500 0.0497  6 Br 2.95-3.09
Ga 0.1004 0.7500 0.8000  4 Br 2.32-2.36
Br 0.0371 0.2500 0.3766  1 Ga 2.32
Br 0.0524 0.7500 0.0979  1 Ga 2.34
Br 0.1999 0.5031 0.7392  1 Ga 2.36

volume	784.3	Å³ per cell
crystal system	orthorhombic

13.
VASP calculation (r2SCAN) on crystalline Pr3Ge5 at its relaxed geometry.

Lattice parameters (Å, degrees): 5.9987 17.9740 14.2333 90.00 90.00 90.00
Closest atoms and distances in Å follow each position.
Space group Fdd2 (No. 43)
Unique sites:
Pr 0.0000 0.0000 0.0000  10 Ge 3.12-3.41
Pr 0.0003 0.1682 0.5057  9 Ge 3.08-3.35
Ge 0.0000 0.0000 0.4391  2 Ge 2.56
Ge 0.0156 0.3373 0.5864  3 Ge 2.52-2.62
Ge 0.0305 0.1762 0.9111  2 Ge 2.52-2.62

volume	1534.6	Å³ per cell
crystal system	orthorhombic

14.
VASP calculation (r2SCAN) on crystalline HfNbB2 at its relaxed geometry.

Lattice parameters (Å, degrees): 3.1755 3.3925 9.0319 90.00 90.00 90.00
Closest atoms and distances in Å follow each position.
Space group Amm2 (No. 38)
Unique sites:
Hf 0.0000 0.0000 0.0000  7 B 2.48-2.66
Nb 0.5000 0.0000 0.7113  6 B 2.43-2.44
B 0.0000 0.0000 0.2946  2 B 1.87
B 0.5000 0.0000 0.4041  2 B 1.87

volume	97.3	Å³ per cell
crystal system	orthorhombic

15.
VASP calculation (r2SCAN) on crystalline Tm2Cr2C3 at its relaxed geometry.

Lattice parameters (Å, degrees): 10.4089 3.2940 5.4641 90.00 106.11 90.00
Closest atoms and distances in Å follow each position.
Space group C2/m (No. 12)
Unique sites:
Tm 0.1078 0.0000 0.3170  5 C 2.40-2.58
Cr 0.1552 0.5000 0.8878  4 C 1.88-1.98
C 0.0000 0.5000 0.0000  2 Cr 1.88
C 0.2185 0.0000 0.7654  3 Cr 1.96-1.98

volume	180.0	Å³ per cell
crystal system	monoclinic

16.
VASP calculation (r2SCAN) on crystalline La2TlHg at its relaxed geometry.

Lattice parameters (Å, degrees): 7.8836 7.8836 7.8836 90.00 90.00 90.00
Closest atoms and distances in Å follow each position.
Space group Fm-3m (No. 225)
Unique sites:
La 0.2500 0.2500 0.2500  4 Hg 3.41, 4 Tl 3.41
Tl 0.0000 0.0000 0.0000  8 La 3.41
Hg 0.0000 0.0000 0.5000  8 La 3.41

volume	490.0	Å³ per cell
crystal system	cubic

17.
VASP calculation (r2SCAN) on crystalline YUO4 at its relaxed geometry.

Lattice parameters (Å, degrees): 3.7625 3.7625 5.3452 90.00 90.00 90.00
Closest atoms and distances in Å follow each position.
Space group P4/mmm (No. 123)
Unique sites:
Y 0.0000 0.0000 0.0000  8 O 2.34
U 0.5000 0.5000 0.5000  8 O 2.27
O 0.0000 0.5000 0.2609  2 U 2.27, 2 Y 2.34

volume	75.7	Å³ per cell
crystal system	tetragonal

18.
VASP calculation (r2SCAN) on crystalline TiAsRu at its relaxed geometry.

Lattice parameters (Å, degrees): 7.3680 11.1952 6.4918 90.00 90.00 90.00
Closest atoms and distances in Å follow each position.
Space group Ima2 (No. 46)
Unique sites:
Ti 0.2500 0.0008 0.0000  5 As 2.65-2.73, 4 Ru 2.82
Ti 0.2500 0.1953 0.3752  5 As 2.67-2.92, 6 Ru 2.76-2.87
Ti 0.2500 0.7181 0.8572  5 As 2.52-2.68
As 0.0027 0.1670 0.0788  3 Ru 2.48-2.50, 6 Ti 2.65-2.73
As 0.2500 0.5357 0.0837  6 Ru 2.48-2.50, 2 Ti 2.52-2.73
Ru 0.0000 0.0000 0.3298  4 As 2.48-2.50
Ru 0.0403 0.1236 0.7044  4 As 2.48-2.50, 1 Ti 2.76

volume	535.5	Å³ per cell
crystal system	orthorhombic

19.
VASP calculation (r2SCAN) on crystalline Lu2Cr2C3 at its relaxed geometry.

Lattice parameters (Å, degrees): 10.3871 3.2999 5.3920 90.00 106.33 90.00
Closest atoms and distances in Å follow each position.
Space group C2/m (No. 12)
Unique sites:
Lu 0.1081 0.0000 0.3150  5 C 2.37-2.57
Cr 0.1546 0.5000 0.8817  4 C 1.89-2.00
C 0.0000 0.5000 0.0000  2 Cr 1.89
C 0.2180 0.0000 0.7637  3 Cr 1.95-2.00

volume	177.4	Å³ per cell
crystal system	monoclinic

20.
VASP calculation (r2SCAN) on crystalline NdZn2Si2 at its relaxed geometry.

Lattice parameters (Å, degrees): 4.1204 4.1204 10.6271 90.00 90.00 90.00
Closest atoms and distances in Å follow each position.
Space group I4/mmm (No. 139)
Unique sites:
Nd 0.0000 0.0000 0.0000  8 Si 3.15, 8 Zn 3.36
Zn 0.0000 0.5000 0.2500  4 Si 2.52
Si 0.0000 0.0000 0.3873  1 Si 2.40, 4 Zn 2.52

volume	180.4	Å³ per cell
crystal system	tetragonal

| no. | energy of formation (meV per atom) |
| --- | --- |
| 1 | -33.9 |
| 2 | -283.6 |
| 3 | -475.0 |
| 4 | -789.7 |
| 5 | -355.6 |
| 6 | -559.9 |
| 7 | -1789.0 |
| 8 | -335.0 |
| 9 | -1480.7 |
| 10 | 0.0 |
| 11 | -417.1 |
| 12 | -1274.5 |
| 13 | -813.7 |
| 14 | -817.4 |
| 15 | -382.8 |
| 16 | -571.2 |
| 17 | -3820.2 |
| 18 | -784.7 |
| 19 | -398.3 |
| 20 | -417.0 |